[1]
Computed, not measured: an optimized crystal structure of LiTiVO4 at the PBE+U level of DFT.

Lattice parameters (Å, degrees): 6.030 6.030 10.423 107.89 107.89 59.62
Fractional positions:
Li 0.061 0.061 0.189
Li 0.439 0.439 0.311
Li 0.561 0.561 0.689
Li 0.939 0.939 0.811
Ti 0.000 0.000 0.500
Ti 0.250 0.250 0.750
Ti 0.500 0.500 0.000
Ti 0.750 0.750 0.250
V 0.000 0.500 0.000
V 0.000 0.500 0.500
V 0.500 0.000 0.000
V 0.500 0.000 0.500
O 0.093 0.652 0.378
O 0.126 0.126 0.395
O 0.145 0.145 0.876
O 0.152 0.593 0.878
O 0.348 0.907 0.622
O 0.354 0.354 0.624
O 0.374 0.374 0.105
O 0.407 0.848 0.122
O 0.593 0.152 0.878
O 0.626 0.626 0.895
O 0.646 0.646 0.376
O 0.652 0.093 0.378
O 0.848 0.407 0.122
O 0.855 0.855 0.124
O 0.874 0.874 0.605
O 0.907 0.348 0.622

Properties
ΔE to the lowest computed polymorph = 0 meV/atom
magnetic moment = 0.00 μB per formula unit


[2]
Computed, not measured: an optimized crystal structure of Li2TiV3O8 at the PBE+U level of DFT.

Lattice parameters (Å, degrees): 8.356 8.351 8.359 90.00 90.04 90.00
Fractional positions:
Li 0.001 0.000 0.249
Li 0.246 0.748 0.997
Li 0.254 0.251 0.497
Li 0.499 0.999 0.749
Li 0.501 0.499 0.251
Li 0.746 0.751 0.503
Li 0.754 0.248 0.003
Li 0.999 0.500 0.751
Ti 0.129 0.370 0.121
Ti 0.371 0.629 0.621
Ti 0.629 0.129 0.379
Ti 0.871 0.870 0.879
V 0.118 0.625 0.371
V 0.120 0.881 0.624
V 0.125 0.120 0.867
V 0.374 0.879 0.367
V 0.380 0.118 0.124
V 0.382 0.374 0.871
V 0.618 0.874 0.129
V 0.620 0.618 0.876
V 0.626 0.379 0.633
V 0.875 0.620 0.133
V 0.880 0.381 0.376
V 0.882 0.125 0.629
O 0.112 0.885 0.862
O 0.113 0.612 0.135
O 0.115 0.386 0.363
O 0.119 0.118 0.630
O 0.136 0.638 0.613
O 0.137 0.136 0.110
O 0.137 0.863 0.386
O 0.139 0.362 0.886
O 0.361 0.637 0.386
O 0.363 0.136 0.886
O 0.363 0.863 0.610
O 0.364 0.361 0.113
O 0.380 0.880 0.130
O 0.385 0.613 0.863
O 0.387 0.387 0.635
O 0.388 0.114 0.362
O 0.612 0.614 0.638
O 0.613 0.887 0.365
O 0.615 0.113 0.137
O 0.620 0.380 0.870
O 0.636 0.861 0.887
O 0.637 0.363 0.390
O 0.637 0.636 0.114
O 0.639 0.137 0.614
O 0.861 0.862 0.114
O 0.863 0.363 0.614
O 0.863 0.636 0.890
O 0.864 0.138 0.387
O 0.881 0.618 0.370
O 0.885 0.886 0.637
O 0.887 0.112 0.865
O 0.888 0.385 0.138

Properties
ΔE to the lowest computed polymorph = 29 meV/atom
magnetic moment = 5.00 μB per formula unit


[3]
Computed, not measured: an optimized crystal structure of LiTi2VO6 at the PBE+U level of DFT.

Lattice parameters (Å, degrees): 3.003 6.552 12.025 102.04 90.01 103.24
Fractional positions:
O 0.165 0.329 0.283
O 0.852 0.704 0.451
O 0.815 0.629 0.715
O 0.502 0.004 0.884
O 0.852 0.704 0.951
O 0.161 0.323 0.564
O 0.814 0.629 0.215
O 0.161 0.323 0.064
O 0.165 0.330 0.783
O 0.505 0.011 0.603
O 0.505 0.011 0.103
O 0.502 0.004 0.384
Ti 0.651 0.303 0.183
Ti 0.651 0.303 0.683
Ti 0.015 0.031 0.484
Ti 0.015 0.031 0.984
Li 0.333 0.667 0.083
Li 0.333 0.667 0.583
V 0.333 0.667 0.833
V 0.333 0.667 0.333

Properties
ΔE to the lowest computed polymorph = 20 meV/atom
magnetic moment = 0.00 μB per formula unit


[4]
Computed, not measured: an optimized crystal structure of Li3Ti4VO8 at the PBE+U level of DFT.

Lattice parameters (Å, degrees): 5.937 5.937 5.999 120.15 120.15 59.44
Fractional positions:
Li 0.000 0.000 0.000
Li 0.000 0.500 0.000
Li 0.500 0.000 0.000
Ti 0.000 0.000 0.500
Ti 0.000 0.500 0.500
Ti 0.500 0.000 0.500
Ti 0.500 0.500 0.000
V 0.500 0.500 0.500
O 0.246 0.752 0.245
O 0.248 0.754 0.755
O 0.249 0.249 0.266
O 0.250 0.250 0.758
O 0.750 0.750 0.242
O 0.751 0.751 0.734
O 0.752 0.246 0.245
O 0.754 0.248 0.755

Properties
electronic total energy = -7.7549 eV per atom
magnetic moment = 2.60 μB per formula unit


[5]
Computed, not measured: an optimized crystal structure of Li3Ti2V3O10 at the PBE+U level of DFT.

Lattice parameters (Å, degrees): 5.146 8.098 10.171 110.28 99.96 97.90
Fractional positions:
Li 0.000 0.000 0.000
Li 0.104 0.693 0.589
Li 0.396 0.807 0.911
Li 0.500 0.500 0.500
Li 0.604 0.193 0.089
Li 0.896 0.307 0.411
Ti 0.187 0.401 0.213
Ti 0.312 0.100 0.287
Ti 0.688 0.900 0.713
Ti 0.813 0.599 0.787
V 0.000 0.000 0.500
V 0.069 0.707 0.105
V 0.431 0.794 0.395
V 0.500 0.500 0.000
V 0.569 0.206 0.605
V 0.931 0.293 0.895
O 0.007 0.814 0.790
O 0.095 0.871 0.310
O 0.132 0.552 0.908
O 0.200 0.562 0.396
O 0.228 0.216 0.488
O 0.272 0.284 0.012
O 0.299 0.938 0.104
O 0.368 0.948 0.592
O 0.404 0.630 0.190
O 0.493 0.685 0.710
O 0.507 0.315 0.290
O 0.596 0.370 0.810
O 0.632 0.052 0.408
O 0.701 0.062 0.896
O 0.728 0.716 0.988
O 0.772 0.784 0.512
O 0.800 0.438 0.604
O 0.868 0.448 0.092
O 0.905 0.129 0.690
O 0.993 0.186 0.210

Properties
electronic total energy = -7.5953 eV per atom
magnetic moment = 0.00 μB per formula unit


[6]
Computed, not measured: an optimized crystal structure of Li2Ti3VO8 at the PBE+U level of DFT.

Lattice parameters (Å, degrees): 8.490 8.490 8.490 90.00 90.00 90.00
Fractional positions:
Li 0.001 0.499 0.501
Li 0.249 0.749 0.751
Li 0.251 0.251 0.251
Li 0.499 0.501 0.001
Li 0.501 0.001 0.499
Li 0.749 0.751 0.249
Li 0.751 0.249 0.749
Li 0.999 0.999 0.999
Ti 0.122 0.625 0.128
Ti 0.125 0.372 0.878
Ti 0.128 0.122 0.625
Ti 0.372 0.878 0.125
Ti 0.375 0.628 0.378
Ti 0.378 0.375 0.628
Ti 0.622 0.875 0.872
Ti 0.625 0.128 0.122
Ti 0.628 0.378 0.375
Ti 0.872 0.622 0.875
Ti 0.875 0.872 0.622
Ti 0.878 0.125 0.372
V 0.125 0.875 0.375
V 0.375 0.125 0.875
V 0.625 0.625 0.625
V 0.875 0.375 0.125
O 0.108 0.124 0.390
O 0.110 0.892 0.624
O 0.111 0.611 0.889
O 0.124 0.390 0.108
O 0.126 0.142 0.860
O 0.139 0.361 0.639
O 0.140 0.626 0.358
O 0.142 0.860 0.126
O 0.358 0.140 0.626
O 0.360 0.374 0.858
O 0.361 0.639 0.139
O 0.374 0.858 0.360
O 0.376 0.610 0.608
O 0.389 0.389 0.389
O 0.390 0.108 0.124
O 0.392 0.876 0.890
O 0.608 0.376 0.610
O 0.610 0.608 0.376
O 0.611 0.889 0.111
O 0.624 0.110 0.892
O 0.626 0.358 0.140
O 0.639 0.139 0.361
O 0.640 0.874 0.642
O 0.642 0.640 0.874
O 0.858 0.360 0.374
O 0.860 0.126 0.142
O 0.861 0.861 0.861
O 0.874 0.642 0.640
O 0.876 0.890 0.392
O 0.889 0.111 0.611
O 0.890 0.392 0.876
O 0.892 0.624 0.110

Properties
ΔE to the lowest computed polymorph = 0 meV/atom
magnetic moment = 3.00 μB per formula unit